No. 1
Entry from Materials Project: a geometry-optimized LuSb3 structure (PBE).

- raw total energy (eV per atom) = -4.529
- space-group type = P6_3/mmc, No. 194
- crystal system = hexagonal
- volume (Å³ per atom) = 26.80
- formation enthalpy at 0 K (eV/atom) = -0.446

CIF file:
```
data_LuSb3
_space_group_name_H-M_alt 'P 1'
_space_group_IT_number 1
_space_group_name_Hall 'P 1'
_cell_length_a 6.5359
_cell_length_b 6.5359
_cell_length_c 5.7947
_cell_angle_alpha 90.00
_cell_angle_beta 90.00
_cell_angle_gamma 120.00
loop_
_atom_site_label
_atom_site_fract_x
_atom_site_fract_y
_atom_site_fract_z
_atom_site_occupancy
Lu1 0.6667 0.3333 0.2500 1
Lu2 0.3333 0.6667 0.7500 1
Sb1 0.6488 0.8244 0.2500 1
Sb2 0.1756 0.3512 0.2500 1
Sb3 0.1756 0.8244 0.2500 1
Sb4 0.3512 0.1756 0.7500 1
Sb5 0.8244 0.6488 0.7500 1
Sb6 0.8244 0.1756 0.7500 1
```

---

No. 2
Entry from Materials Project: a geometry-optimized LuZrSb structure (PBE).

- raw total energy (eV per atom) = -6.466
- space-group type = I4/mmm, No. 139
- crystal system = tetragonal
- volume (Å³ per atom) = 24.66
- formation enthalpy at 0 K (eV/atom) = -0.798

CIF file:
```
data_LuZrSb
_space_group_name_H-M_alt 'P 1'
_space_group_IT_number 1
_space_group_name_Hall 'P 1'
_cell_length_a 8.6878
_cell_length_b 8.6878
_cell_length_c 8.6878
_cell_angle_alpha 151.61
_cell_angle_beta 151.61
_cell_angle_gamma 40.59
loop_
_atom_site_label
_atom_site_fract_x
_atom_site_fract_y
_atom_site_fract_z
_atom_site_occupancy
Zr1 0.0000 0.5000 0.5000 1
Zr2 0.5000 0.0000 0.5000 1
Sb1 0.1365 0.1365 0.0000 1
Sb2 0.8635 0.8635 0.0000 1
Lu1 0.3255 0.3255 0.0000 1
Lu2 0.6745 0.6745 0.0000 1
```

---

No. 3
Entry from Materials Project: a geometry-optimized Lu3Sc structure (PBE).

- raw total energy (eV per atom) = -4.965
- space-group type = P6_3/mmc, No. 194
- crystal system = hexagonal
- volume (Å³ per atom) = 28.27
- formation enthalpy at 0 K (eV/atom) = 0.009

CIF file:
```
data_Lu3Sc
_space_group_name_H-M_alt 'P 1'
_space_group_IT_number 1
_space_group_name_Hall 'P 1'
_cell_length_a 6.9446
_cell_length_b 6.9446
_cell_length_c 5.4151
_cell_angle_alpha 90.00
_cell_angle_beta 90.00
_cell_angle_gamma 120.00
loop_
_atom_site_label
_atom_site_fract_x
_atom_site_fract_y
_atom_site_fract_z
_atom_site_occupancy
Sc1 0.3333 0.6667 0.7500 1
Sc2 0.6667 0.3333 0.2500 1
Lu1 0.8316 0.1684 0.7500 1
Lu2 0.1684 0.3367 0.2500 1
Lu3 0.1684 0.8316 0.2500 1
Lu4 0.6633 0.8316 0.2500 1
Lu5 0.8316 0.6633 0.7500 1
Lu6 0.3367 0.1684 0.7500 1
```

---

No. 4
Entry from Materials Project: a geometry-optimized LuSe2 structure (PBE).

- raw total energy (eV per atom) = -5.298
- space-group type = P4/nmm, No. 129
- crystal system = tetragonal
- volume (Å³ per atom) = 22.13
- formation enthalpy at 0 K (eV/atom) = -1.775

CIF file:
```
data_LuSe2
_space_group_name_H-M_alt 'P 1'
_space_group_IT_number 1
_space_group_name_Hall 'P 1'
_cell_length_a 4.0265
_cell_length_b 4.0265
_cell_length_c 8.1903
_cell_angle_alpha 90.00
_cell_angle_beta 90.00
_cell_angle_gamma 90.00
loop_
_atom_site_label
_atom_site_fract_x
_atom_site_fract_y
_atom_site_fract_z
_atom_site_occupancy
Se1 0.5000 0.0000 0.6283 1
Se2 0.0000 0.0000 0.0000 1
Se3 0.0000 0.5000 0.3717 1
Se4 0.5000 0.5000 0.0000 1
Lu1 0.0000 0.5000 0.7259 1
Lu2 0.5000 0.0000 0.2741 1
```

---

No. 5
Entry from Materials Project: a geometry-optimized Lu2Se3 structure (PBE).

- raw total energy (eV per atom) = -5.755
- space-group type = Fddd, No. 70
- crystal system = orthorhombic
- volume (Å³ per atom) = 27.56
- formation enthalpy at 0 K (eV/atom) = -2.132

CIF file:
```
data_Lu2Se3
_space_group_name_H-M_alt 'P 1'
_space_group_IT_number 1
_space_group_name_Hall 'P 1'
_cell_length_a 13.3173
_cell_length_b 12.7135
_cell_length_c 6.9533
_cell_angle_alpha 79.36
_cell_angle_beta 69.76
_cell_angle_gamma 30.87
loop_
_atom_site_label
_atom_site_fract_x
_atom_site_fract_y
_atom_site_fract_z
_atom_site_occupancy
Lu1 0.5028 0.5028 0.9972 1
Lu2 0.3339 0.3339 0.1661 1
Lu3 0.7472 0.7472 0.2528 1
Lu4 0.2528 0.2528 0.7472 1
Lu5 0.1661 0.1661 0.3339 1
Lu6 0.9972 0.9972 0.5028 1
Lu7 0.9161 0.9161 0.0839 1
Lu8 0.0839 0.0839 0.9161 1
Se1 0.4103 0.9270 0.5864 1
Se2 0.0762 0.5864 0.9270 1
Se3 0.1738 0.6636 0.3230 1
Se4 0.5864 0.0762 0.4103 1
Se5 0.7551 0.2449 0.2449 1
Se6 0.0051 0.4949 0.4949 1
Se7 0.9270 0.4103 0.0762 1
Se8 0.8397 0.3230 0.6636 1
Se9 0.2449 0.7551 0.7551 1
Se10 0.3230 0.8397 0.1738 1
Se11 0.4949 0.0051 0.0051 1
Se12 0.6636 0.1738 0.8397 1
```

---

No. 6
Entry from Materials Project: a geometry-optimized Lu2Se3 structure (PBE).

- raw total energy (eV per atom) = -5.645
- space-group type = I-42d, No. 122
- crystal system = tetragonal
- volume (Å³ per atom) = 23.63
- formation enthalpy at 0 K (eV/atom) = -2.022

CIF file:
```
data_Lu2Se3
_space_group_name_H-M_alt 'P 1'
_space_group_IT_number 1
_space_group_name_Hall 'P 1'
_cell_length_a 14.2088
_cell_length_b 14.2088
_cell_length_c 14.2088
_cell_angle_alpha 144.87
_cell_angle_beta 144.87
_cell_angle_gamma 50.53
loop_
_atom_site_label
_atom_site_fract_x
_atom_site_fract_y
_atom_site_fract_z
_atom_site_occupancy
Se1 0.8788 0.1335 0.3830 1
Se2 0.2459 0.0006 0.1170 1
Se3 0.9994 0.1165 0.2453 1
Se4 0.9086 0.6524 0.0975 1
Se5 0.5549 0.8111 0.9025 1
Se6 0.5041 0.1212 0.2547 1
Se7 0.1889 0.0914 0.7438 1
Se8 0.5390 0.9223 0.7518 1
Se9 0.2110 0.4628 0.8833 1
Se10 0.8835 0.1288 0.8830 1
Se11 0.3476 0.4451 0.2562 1
Se12 0.0777 0.8295 0.6167 1
Se13 0.5795 0.3277 0.1167 1
Se14 0.7506 0.4959 0.6170 1
Se15 0.1705 0.7872 0.2482 1
Se16 0.8712 0.7541 0.7547 1
Se17 0.1951 0.5976 0.7562 1
Se18 0.5611 0.8049 0.4025 1
Se19 0.8665 0.2494 0.7453 1
Se20 0.4024 0.1586 0.5975 1
Se21 0.6723 0.7890 0.2518 1
Se22 0.8414 0.4389 0.2438 1
Se23 0.5372 0.4205 0.7482 1
Se24 0.2128 0.4610 0.3833 1
Lu1 0.0497 0.4230 0.8928 1
Lu2 0.7003 0.0931 0.8733 1
Lu3 0.9185 0.4185 0.5000 1
Lu4 0.9069 0.7802 0.6072 1
Lu5 0.3750 0.7412 0.8662 1
Lu6 0.8315 0.8315 0.0000 1
Lu7 0.1685 0.1685 0.0000 1
Lu8 0.2198 0.8270 0.1267 1
Lu9 0.1730 0.2997 0.3928 1
Lu10 0.5815 0.0815 0.5000 1
Lu11 0.5770 0.4698 0.6267 1
Lu12 0.4912 0.6250 0.3662 1
Lu13 0.8750 0.5088 0.1338 1
Lu14 0.8431 0.9503 0.3733 1
Lu15 0.2588 0.1250 0.6338 1
Lu16 0.5302 0.1569 0.1072 1
```